No. 1
VASP calculation (PBE-GGA) on an optimized crystal structure of SiPt3.

Crystal system: tetragonal
Total energy: -6.363 eV/atom
Space group: No. 127
Magnetic moment: 0.000 μB/cell
Formation energy from the elements: -453 meV/atom

a = 5.5027 Å, b = 5.5027 Å, c = 3.9893 Å
α = 90.00°, β = 90.00°, γ = 90.00°
Element x y z (fractional)
1 Si 0.0000 0.5000 0.5000
2 Si 0.5000 0.0000 0.5000
3 Pt 0.8166 0.3166 0.0000
4 Pt 0.1834 0.6834 0.0000
5 Pt 0.3166 0.1834 0.0000
6 Pt 0.6834 0.8166 0.0000
7 Pt 0.5000 0.5000 0.5000
8 Pt 0.0000 0.0000 0.5000

---

No. 2
VASP calculation (PBE-GGA) on an optimized crystal structure of SmSiPt.

Crystal system: tetragonal
Total energy: -6.551 eV/atom
Space group: No. 109
Formation energy from the elements: -1146 meV/atom

a = 4.1794 Å, b = 4.1794 Å, c = 7.8187 Å
α = 105.50°, β = 105.50°, γ = 90.00°
Element x y z (fractional)
1 Sm 0.2523 0.7523 0.5046
2 Sm 0.0023 0.0023 0.0046
3 Si 0.8325 0.3325 0.6650
4 Si 0.5825 0.5825 0.1650
5 Pt 0.6652 0.1652 0.3303
6 Pt 0.4152 0.4152 0.8303

---

No. 3
VASP calculation (PBE-GGA) on an optimized crystal structure of Sm2Si3Pt3.

Crystal system: tetragonal
Total energy: -5.086 eV/atom
Space group: No. 123
Formation energy from the elements: 405 meV/atom

a = 2.7910 Å, b = 2.7910 Å, c = 21.0612 Å
α = 90.00°, β = 90.00°, γ = 90.00°
Element x y z (fractional)
1 Sm 0.5000 0.5000 0.7544
2 Sm 0.5000 0.5000 0.2456
3 Si 0.5000 0.5000 0.3880
4 Si 0.5000 0.5000 0.6120
5 Si 0.5000 0.5000 0.0000
6 Pt 0.5000 0.5000 0.1127
7 Pt 0.5000 0.5000 0.8873
8 Pt 0.5000 0.5000 0.5000

---

No. 4
VASP calculation (PBE-GGA) on an optimized crystal structure of SmSi3Pt.

Crystal system: tetragonal
Total energy: -6.185 eV/atom
Space group: No. 107
Magnetic moment: 0.000 μB/cell
Formation energy from the elements: -772 meV/atom

a = 4.3203 Å, b = 4.3203 Å, c = 5.6876 Å
α = 112.32°, β = 112.32°, γ = 90.00°
Element x y z (fractional)
1 Sm 0.5765 0.5765 0.1531
2 Si 0.3404 0.8404 0.6808
3 Si 0.8404 0.3404 0.6808
4 Si 0.9761 0.9761 0.9521
5 Pt 0.2244 0.2244 0.4489

---

No. 5
VASP calculation (PBE-GGA) on an optimized crystal structure of SmSi3Pt5.

Crystal system: hexagonal
Total energy: -6.617 eV/atom
Space group: No. 176
Magnetic moment: 0.006 μB/cell
Formation energy from the elements: -911 meV/atom

a = 16.0536 Å, b = 16.0536 Å, c = 4.0092 Å
α = 90.00°, β = 90.00°, γ = 120.00°
Element x y z (fractional)
1 Sm 0.6094 0.9032 0.2500
2 Sm 0.7062 0.6094 0.7500
3 Sm 0.9032 0.2938 0.7500
4 Sm 0.0968 0.7062 0.2500
5 Sm 0.2938 0.3906 0.2500
6 Sm 0.3906 0.0968 0.7500
7 Si 0.4490 0.7672 0.7500
8 Si 0.6268 0.0609 0.7500
9 Si 0.5659 0.6268 0.2500
10 Si 0.0609 0.4341 0.2500
11 Si 0.9391 0.5659 0.7500
12 Si 0.4341 0.3732 0.7500
13 Si 0.6818 0.4490 0.2500
14 Si 0.7672 0.3182 0.2500
15 Si 0.2328 0.6818 0.7500
16 Si 0.3182 0.5510 0.7500
17 Si 0.5510 0.2328 0.2500
18 Si 0.3732 0.9391 0.2500
19 Si 0.7509 0.8830 0.7500
20 Si 0.8830 0.1321 0.2500
21 Si 0.1170 0.8679 0.7500
22 Si 0.1321 0.2491 0.7500
23 Si 0.2491 0.1170 0.2500
24 Si 0.8679 0.7509 0.2500
25 Pt 0.5885 0.7446 0.7500
26 Pt 0.4354 0.6651 0.2500
27 Pt 0.2297 0.5646 0.2500
28 Pt 0.6651 0.2297 0.7500
29 Pt 0.5646 0.3349 0.7500
30 Pt 0.3349 0.7703 0.2500
31 Pt 0.1497 0.0316 0.7500
32 Pt 0.1181 0.1497 0.2500
33 Pt 0.0316 0.8819 0.2500
34 Pt 0.9684 0.1181 0.7500
35 Pt 0.8819 0.8503 0.7500
36 Pt 0.8503 0.9684 0.2500
37 Pt 0.8439 0.5885 0.2500
38 Pt 0.7446 0.1561 0.2500
39 Pt 0.2554 0.8439 0.7500
40 Pt 0.1561 0.4115 0.7500
41 Pt 0.4115 0.2554 0.2500
42 Pt 0.4658 0.9235 0.7500
43 Pt 0.5423 0.4658 0.2500
44 Pt 0.9235 0.4577 0.2500
45 Pt 0.0765 0.5423 0.7500
46 Pt 0.4577 0.5342 0.7500
47 Pt 0.5342 0.0765 0.2500
48 Pt 0.7241 0.7646 0.2500
49 Pt 0.9595 0.7241 0.7500
50 Pt 0.7646 0.0405 0.7500
51 Pt 0.2354 0.9595 0.2500
52 Pt 0.0405 0.2759 0.2500
53 Pt 0.2759 0.2354 0.7500
54 Pt 0.7703 0.4354 0.7500

---

No. 6
VASP calculation (PBE-GGA) on an optimized crystal structure of SmSiPt3.

Crystal system: tetragonal
Total energy: -6.737 eV/atom
Space group: No. 99
Formation energy from the elements: -1066 meV/atom

a = 4.0954 Å, b = 4.0954 Å, c = 5.5097 Å
α = 90.00°, β = 90.00°, γ = 90.00°
Element x y z (fractional)
1 Sm 0.5000 0.5000 0.6855
2 Si 0.0000 0.0000 0.9710
3 Pt 0.5000 0.0000 0.1985
4 Pt 0.0000 0.5000 0.1985
5 Pt 0.0000 0.0000 0.5547

---

No. 7
VASP calculation (PBE-GGA) on an optimized crystal structure of Sm2Si3Pt.

Crystal system: orthorhombic
Total energy: -6.250 eV/atom
Space group: No. 44
Formation energy from the elements: -953 meV/atom

a = 7.7448 Å, b = 7.7448 Å, c = 7.7448 Å
α = 149.63°, β = 148.60°, γ = 44.25°
Element x y z (fractional)
1 Sm 0.1296 0.1296 0.0000
2 Sm 0.3707 0.8707 0.5000
3 Si 0.7050 0.7050 0.0000
4 Si 0.5406 0.5406 0.0000
5 Si 0.7946 0.2946 0.5000
6 Pt 0.9595 0.4595 0.5000

---

No. 8
VASP calculation (PBE-GGA) on an optimized crystal structure of SrSi2Pt2.

Crystal system: tetragonal
Total energy: -5.807 eV/atom
Space group: No. 139
Formation energy from the elements: -870 meV/atom

a = 5.9802 Å, b = 5.9802 Å, c = 5.9802 Å
α = 137.47°, β = 137.47°, γ = 61.72°
Element x y z (fractional)
1 Sr 0.0000 0.0000 0.0000
2 Si 0.2500 0.7500 0.5000
3 Si 0.7500 0.2500 0.5000
4 Pt 0.6404 0.6404 0.0000
5 Pt 0.3596 0.3596 0.0000

---

No. 9
VASP calculation (PBE-GGA) on an optimized crystal structure of SrSi2Pt2.

Crystal system: tetragonal
Total energy: -5.786 eV/atom
Space group: No. 139
Magnetic moment: 0.000 μB/cell
Formation energy from the elements: -849 meV/atom

a = 5.9354 Å, b = 5.9354 Å, c = 5.9354 Å
α = 137.49°, β = 137.49°, γ = 61.68°
Element x y z (fractional)
1 Sr 0.0000 0.0000 0.0000
2 Si 0.3731 0.3731 0.0000
3 Si 0.6269 0.6269 0.0000
4 Pt 0.7500 0.2500 0.5000
5 Pt 0.2500 0.7500 0.5000

---

No. 10
VASP calculation (PBE-GGA) on an optimized crystal structure of TaSiPt.

Crystal system: orthorhombic
Total energy: -8.492 eV/atom
Space group: No. 62
Formation energy from the elements: -708 meV/atom

a = 3.8562 Å, b = 6.4517 Å, c = 7.4290 Å
α = 90.00°, β = 90.00°, γ = 90.00°
Element x y z (fractional)
1 Ta 0.2500 0.5259 0.1645
2 Ta 0.7500 0.4741 0.8355
3 Ta 0.7500 0.9741 0.6645
4 Ta 0.2500 0.0259 0.3355
5 Si 0.2500 0.7677 0.8750
6 Si 0.7500 0.2323 0.1250
7 Si 0.7500 0.7323 0.3750
8 Si 0.2500 0.2677 0.6250
9 Pt 0.2500 0.6529 0.5676
10 Pt 0.7500 0.3471 0.4324
11 Pt 0.7500 0.8471 0.0676
12 Pt 0.2500 0.1529 0.9324

---

No. 11
VASP calculation (PBE-GGA) on an optimized crystal structure of TbSiPt2.

Crystal system: orthorhombic
Total energy: -6.706 eV/atom
Space group: No. 62
Formation energy from the elements: -1156 meV/atom

a = 5.5694 Å, b = 6.9539 Å, c = 7.3787 Å
α = 90.00°, β = 90.00°, γ = 90.00°
Element x y z (fractional)
1 Tb 0.1384 0.7500 0.5282
2 Tb 0.8616 0.2500 0.4718
3 Tb 0.6384 0.2500 0.9718
4 Tb 0.3616 0.7500 0.0282
5 Si 0.8604 0.7500 0.8796
6 Si 0.1396 0.2500 0.1204
7 Si 0.3604 0.2500 0.6204
8 Si 0.6396 0.7500 0.3796
9 Pt 0.5919 0.5507 0.6805
10 Pt 0.4081 0.4493 0.3195
11 Pt 0.0919 0.4493 0.8195
12 Pt 0.4081 0.0507 0.3195
13 Pt 0.9081 0.5507 0.1805
14 Pt 0.5919 0.9493 0.6805
15 Pt 0.9081 0.9493 0.1805
16 Pt 0.0919 0.0507 0.8195

---

No. 12
VASP calculation (PBE-GGA) on an optimized crystal structure of ThSiPt.

Crystal system: tetragonal
Total energy: -7.480 eV/atom
Space group: No. 109
Formation energy from the elements: -1176 meV/atom

a = 7.9685 Å, b = 7.9685 Å, c = 7.9685 Å
α = 149.67°, β = 149.67°, γ = 43.43°
Element x y z (fractional)
1 Th 0.5807 0.5807 0.0000
2 Th 0.3307 0.8307 0.5000
3 Si 0.9999 0.9999 0.0000
4 Si 0.7499 0.2499 0.5000
5 Pt 0.1664 0.1664 0.0000
6 Pt 0.9164 0.4164 0.5000

---

> total energy of number 12 (ThSiPt)?

-7.480 eV/atom

---

> Which value of total energy does entry 1 give?

-6.363 eV/atom

---

> The lowest total energy belongs to which entry?

TaSiPt